[1]
Entry from Materials Project: an optimized crystal structure of Dy6Fe23 (PBE).

## Properties
magnetic moment: 51.83 μB/f.u.
final energy: -7.717 eV/atom

Unit cell a=8.5109 b=8.5109 c=8.5109 alpha=60.00 beta=60.00 gamma=60.00
Atoms (fractional coordinates):
Dy 0.7102 0.2898 0.2898
Dy 0.7102 0.2898 0.7102
Dy 0.7102 0.7102 0.2898
Dy 0.2898 0.7102 0.7102
Dy 0.2898 0.7102 0.2898
Dy 0.2898 0.2898 0.7102
Fe 0.0000 0.0000 0.0000
Fe 0.5000 0.0000 0.0000
Fe 0.5000 0.0000 0.5000
Fe 0.5000 0.5000 0.0000
Fe 0.0000 0.5000 0.5000
Fe 0.0000 0.5000 0.0000
Fe 0.0000 0.0000 0.5000
Fe 0.6347 0.1218 0.1218
Fe 0.1218 0.6347 0.1218
Fe 0.1218 0.1218 0.6347
Fe 0.1218 0.1218 0.1218
Fe 0.3653 0.8782 0.8782
Fe 0.8782 0.3653 0.8782
Fe 0.8782 0.8782 0.3653
Fe 0.8782 0.8782 0.8782
Fe 0.0275 0.3242 0.3242
Fe 0.3242 0.0275 0.3242
Fe 0.3242 0.3242 0.0275
Fe 0.3242 0.3242 0.3242
Fe 0.9725 0.6758 0.6758
Fe 0.6758 0.9725 0.6758
Fe 0.6758 0.6758 0.9725
Fe 0.6758 0.6758 0.6758

***

[2]
Entry from Materials Project: an optimized crystal structure of Dy2Ga3Fe14 (PBE).

## Properties
magnetic moment: 28.94 μB/f.u.
final energy: -7.308 eV/atom

Unit cell a=8.2720 b=8.5631 c=8.5631 alpha=120.08 beta=90.00 gamma=90.00
Atoms (fractional coordinates):
Dy 0.7500 0.0000 0.0000
Dy 0.2500 0.0000 0.0000
Dy 0.2500 0.6668 0.3332
Dy 0.7500 0.3332 0.6668
Ga 0.5000 0.5000 0.0000
Ga 0.5000 0.5000 0.5000
Ga 0.5000 0.0000 0.5000
Ga 0.0000 0.5000 0.0000
Ga 0.0000 0.5000 0.5000
Ga 0.0000 0.0000 0.5000
Fe 0.6117 0.6668 0.3332
Fe 0.3883 0.3332 0.6668
Fe 0.1117 0.3332 0.6668
Fe 0.8883 0.6668 0.3332
Fe 0.7500 0.6767 0.0294
Fe 0.7500 0.3526 0.3233
Fe 0.7500 0.9707 0.6474
Fe 0.7500 0.3526 0.0293
Fe 0.7500 0.9706 0.3233
Fe 0.7500 0.6767 0.6474
Fe 0.2500 0.3233 0.9706
Fe 0.2500 0.6474 0.6767
Fe 0.2500 0.0293 0.3526
Fe 0.2500 0.6474 0.9707
Fe 0.2500 0.0294 0.6767
Fe 0.2500 0.3233 0.3526
Fe 0.4913 0.8345 0.6688
Fe 0.4912 0.8345 0.1655
Fe 0.4913 0.3312 0.1655
Fe 0.5087 0.1655 0.3312
Fe 0.5088 0.1655 0.8345
Fe 0.5087 0.6688 0.8345
Fe 0.9913 0.1655 0.3312
Fe 0.9912 0.1655 0.8345
Fe 0.9913 0.6688 0.8345
Fe 0.0087 0.8345 0.6688
Fe 0.0088 0.8345 0.1655
Fe 0.0087 0.3312 0.1655

***

[3]
Entry from Materials Project: an optimized crystal structure of Dy2Ga8Fe (PBE).

## Properties
magnetic moment: 0.00 μB/f.u.
final energy: -4.260 eV/atom

Unit cell a=4.2639 b=4.2639 c=11.1646 alpha=90.00 beta=90.00 gamma=90.00
Atoms (fractional coordinates):
Dy 0.0000 0.0000 0.6966
Dy 0.0000 0.0000 0.3034
Ga 0.5000 0.0000 0.8857
Ga 0.0000 0.5000 0.8857
Ga 0.5000 0.0000 0.1143
Ga 0.0000 0.5000 0.1143
Ga 0.5000 0.0000 0.5000
Ga 0.0000 0.5000 0.5000
Ga 0.5000 0.5000 0.6980
Ga 0.5000 0.5000 0.3020
Fe 0.0000 0.0000 0.0000

***

[4]
Entry from Materials Project: an optimized crystal structure of Dy4Ga12Fe (PBE).

## Properties
final energy: -4.248 eV/atom

Unit cell a=7.4457 b=7.4457 c=7.4457 alpha=109.47 beta=109.47 gamma=109.47
Atoms (fractional coordinates):
Dy 0.0000 0.0000 0.5000
Dy 0.0000 0.5000 0.0000
Dy 0.5000 0.0000 0.0000
Dy 0.5000 0.5000 0.5000
Ga 0.7500 0.2500 0.5000
Ga 0.7500 0.5000 0.2500
Ga 0.5000 0.2500 0.7500
Ga 0.2500 0.5000 0.7500
Ga 0.2500 0.7500 0.5000
Ga 0.5000 0.7500 0.2500
Ga 0.7184 0.7184 0.0000
Ga 0.2816 0.0000 0.2816
Ga 0.0000 0.2816 0.2816
Ga 0.2816 0.2816 0.0000
Ga 0.7184 0.0000 0.7184
Ga 0.0000 0.7184 0.7184
Fe 0.0000 0.0000 0.0000

***

Question: Look up the final energy of the second one.
Answer: -7.308 eV/atom

***

Question: What is the formula in the first record?
Answer: Dy6Fe23

***

Question: Which value of final energy does entry 1 give?
Answer: -7.717 eV/atom